Entry 1:
A geometry-optimized V2S3N2O12 structure. Source: the Materials Project database, functional GGA+U.

Properties
Volume   12.89 Å³/atom
E_form   -1266 meV/atom
Space group   P2_13, No. 198
VASP energy   -476.116 eV for the cell shown

Lattice parameters (Å, degrees): 9.932 9.932 9.932 90.00 90.00 90.00
Element x y z (fractional)
V 0.103 0.103 0.103
V 0.164 0.336 0.664
V 0.336 0.664 0.164
V 0.397 0.897 0.603
V 0.603 0.397 0.897
V 0.664 0.164 0.336
V 0.836 0.836 0.836
V 0.897 0.603 0.397
S 0.018 0.788 0.124
S 0.124 0.018 0.788
S 0.212 0.624 0.482
S 0.288 0.376 0.982
S 0.376 0.982 0.288
S 0.482 0.212 0.624
S 0.518 0.712 0.876
S 0.624 0.482 0.212
S 0.712 0.876 0.518
S 0.788 0.124 0.018
S 0.876 0.518 0.712
S 0.982 0.288 0.376
N 0.045 0.955 0.455
N 0.183 0.683 0.817
N 0.317 0.317 0.317
N 0.455 0.045 0.955
N 0.545 0.545 0.545
N 0.683 0.817 0.183
N 0.817 0.183 0.683
N 0.955 0.455 0.045
O 0.002 0.443 0.733
O 0.006 0.933 0.165
O 0.040 0.201 0.272
O 0.057 0.267 0.502
O 0.067 0.665 0.494
O 0.103 0.162 0.756
O 0.162 0.756 0.103
O 0.165 0.006 0.933
O 0.201 0.272 0.040
O 0.228 0.960 0.701
O 0.233 0.498 0.557
O 0.244 0.603 0.338
O 0.256 0.397 0.838
O 0.267 0.502 0.057
O 0.272 0.040 0.201
O 0.299 0.728 0.540
O 0.335 0.994 0.433
O 0.338 0.244 0.603
O 0.397 0.838 0.256
O 0.433 0.335 0.994
O 0.443 0.733 0.002
O 0.460 0.799 0.772
O 0.494 0.067 0.665
O 0.498 0.557 0.233
O 0.502 0.057 0.267
O 0.506 0.567 0.835
O 0.540 0.299 0.728
O 0.557 0.233 0.498
O 0.567 0.835 0.506
O 0.603 0.338 0.244
O 0.662 0.744 0.897
O 0.665 0.494 0.067
O 0.701 0.228 0.960
O 0.728 0.540 0.299
O 0.733 0.002 0.443
O 0.744 0.897 0.662
O 0.756 0.103 0.162
O 0.767 0.998 0.943
O 0.772 0.460 0.799
O 0.799 0.772 0.460
O 0.835 0.506 0.567
O 0.838 0.256 0.397
O 0.897 0.662 0.744
O 0.933 0.165 0.006
O 0.943 0.767 0.998
O 0.960 0.701 0.228
O 0.994 0.433 0.335
O 0.998 0.943 0.767

***

Entry 2:
A geometry-optimized VS2NO8 structure. Source: the Materials Project database, functional GGA+U.

Properties
Volume   15.87 Å³/atom
E_form   -1267 meV/atom
Space group   P321, No. 150
VASP energy   -73.285 eV for the cell shown

Lattice parameters (Å, degrees): 5.121 5.121 8.384 90.00 90.00 120.00
Element x y z (fractional)
V 0.000 0.000 0.000
S 0.333 0.667 0.205
S 0.667 0.333 0.795
N 0.000 0.000 0.500
O 0.161 0.354 0.137
O 0.193 0.839 0.137
O 0.333 0.667 0.375
O 0.354 0.161 0.863
O 0.646 0.807 0.137
O 0.667 0.333 0.625
O 0.807 0.646 0.863
O 0.839 0.193 0.863